1.
RbSbWO6 | the Materials Project | PBE with a Hubbard U | relaxed; calculated volume = 15.7 Å³ per atom; total DFT energy (no corrections) = -117.3 eV for the cell shown; formation energy from the elements = -2.16 eV/atom
1.0
-5.1980 0.0420 -5.2330
5.2401 -5.2401 0.0000
-5.1560 -5.1560 0.0000
Rb Sb W O
2 2 2 12
direct
0.7315 0.3611 0.3843 Rb
0.2685 0.6297 0.6157 Rb
0.0000 0.9958 0.5000 Sb
0.0000 0.9958 0.0000 Sb
0.5001 0.4958 0.0000 W
0.4999 0.9957 0.0000 W
0.8498 0.9208 0.3251 O
0.6173 0.3045 0.9413 O
0.2538 0.9291 0.9339 O
0.2538 0.3164 0.3123 O
0.2538 0.3164 0.9339 O
0.2538 0.9291 0.3123 O
0.1502 0.0709 0.6749 O
0.3827 0.6871 0.0587 O
0.7462 0.0626 0.0661 O
0.7462 0.6753 0.6877 O
0.7462 0.6753 0.0661 O
0.7462 0.0626 0.6877 O

---

2.
RbScW2O8 | the Materials Project | PBE with a Hubbard U | relaxed; calculated volume = 13.1 Å³ per atom; total DFT energy (no corrections) = -179.4 eV for the cell shown; formation energy from the elements = -2.60 eV/atom
1.0
-5.0324 -5.5178 -0.5807
3.0178 -2.7217 -6.2923
2.4487 -6.9721 0.0382
Rb Sc W O
2 2 4 16
direct
0.1988 0.8012 0.7500 Rb
0.8012 0.1988 0.2500 Rb
0.7804 0.2196 0.7500 Sc
0.2196 0.7804 0.2500 Sc
0.7033 0.6905 0.7912 W
0.2967 0.3095 0.2088 W
0.3095 0.2967 0.7088 W
0.6905 0.7033 0.2912 W
0.6190 0.7566 0.5624 O
0.3810 0.2434 0.4376 O
0.2434 0.3810 0.9376 O
0.7566 0.6190 0.0624 O
0.3471 0.0427 0.8930 O
0.6529 0.9573 0.1070 O
0.9573 0.6529 0.6070 O
0.0427 0.3471 0.3930 O
0.6029 0.3729 0.9521 O
0.3971 0.6271 0.0479 O
0.6271 0.3971 0.5479 O
0.3729 0.6029 0.4521 O
0.7677 0.9638 0.7038 O
0.2323 0.0362 0.2962 O
0.0362 0.2323 0.7962 O
0.9638 0.7677 0.2038 O

---

3.
RbScW2O8 | the Materials Project | PBE with a Hubbard U | relaxed; calculated volume = 19.9 Å³ per atom; total DFT energy (no corrections) = -89.5 eV for the cell shown; formation energy from the elements = -2.59 eV/atom
1.0
2.9682 -5.1411 0.0000
2.9682 5.1411 0.0000
0.0000 0.0000 7.8401
Rb Sc W O
1 1 2 8
direct
0.0000 0.0000 0.0000 Rb
0.0000 0.0000 0.5000 Sc
0.3333 0.6667 0.2679 W
0.6667 0.3333 0.7321 W
0.1641 0.8359 0.3392 O
0.8359 0.1641 0.6608 O
0.1641 0.3282 0.3392 O
0.8359 0.6718 0.6608 O
0.6718 0.8359 0.3392 O
0.3282 0.1641 0.6608 O
0.3333 0.6667 0.0415 O
0.6667 0.3333 0.9585 O

---

4.
RbVSeO5 | the Materials Project | PBE with a Hubbard U | relaxed; calculated volume = 18.7 Å³ per atom; total DFT energy (no corrections) = -195.9 eV for the cell shown; formation energy from the elements = -1.98 eV/atom
1.0
-7.2324 -0.5982 -2.9876
-2.2778 -4.1832 6.3516
-2.6500 7.8512 4.8429
Rb V Se O
4 4 4 20
direct
0.9882 0.9068 0.1350 Rb
0.4882 0.0932 0.8650 Rb
0.7620 0.6243 0.6139 Rb
0.2620 0.3757 0.3861 Rb
0.8208 0.4291 0.2376 V
0.3208 0.5709 0.7624 V
0.4504 0.9198 0.2672 V
0.9504 0.0802 0.7328 V
0.5316 0.6190 0.0690 Se
0.0316 0.3810 0.9310 Se
0.2498 0.8821 0.5534 Se
0.7498 0.1179 0.4466 Se
0.8552 0.9311 0.8318 O
0.3552 0.0689 0.1682 O
0.6252 0.4133 0.3104 O
0.1252 0.5867 0.6896 O
0.6882 0.9684 0.3321 O
0.1882 0.0316 0.6679 O
0.3206 0.7520 0.2903 O
0.8206 0.2480 0.7097 O
0.8891 0.9905 0.5463 O
0.3891 0.0095 0.4537 O
0.9237 0.5812 0.3135 O
0.4237 0.4188 0.6865 O
0.9029 0.2218 0.3403 O
0.4029 0.7782 0.6597 O
0.7354 0.5291 0.0584 O
0.2354 0.4709 0.9416 O
0.5910 0.8180 0.1215 O
0.0910 0.1820 0.8785 O
0.9968 0.3297 0.1046 O
0.4968 0.6703 0.8954 O

---

5.
Rb2W3SeO12 | the Materials Project | PBE with a Hubbard U | relaxed; calculated volume = 16.4 Å³ per atom; total DFT energy (no corrections) = -240.3 eV for the cell shown; formation energy from the elements = -2.11 eV/atom
1.0
3.6864 -6.3850 0.0000
3.6864 6.3850 0.0000
0.0000 0.0000 12.5120
Rb W Se O
4 6 2 24
direct
0.6667 0.3333 0.5470 Rb
0.3333 0.6667 0.0470 Rb
0.6667 0.3333 0.9325 Rb
0.3333 0.6667 0.4325 Rb
0.6613 0.8274 0.7639 W
0.1661 0.3387 0.7639 W
0.3387 0.1726 0.2639 W
0.1726 0.8339 0.7639 W
0.8339 0.6613 0.2639 W
0.8274 0.1661 0.2639 W
0.0000 0.0000 0.9915 Se
0.0000 0.0000 0.4915 Se
0.7519 0.8726 0.9328 O
0.1207 0.2481 0.9328 O
0.2481 0.1274 0.4328 O
0.1274 0.8793 0.9328 O
0.8793 0.7519 0.4328 O
0.8726 0.1207 0.4328 O
0.4543 0.5422 0.8085 O
0.0880 0.5457 0.8085 O
0.5457 0.4578 0.3085 O
0.4578 0.9120 0.8085 O
0.9120 0.4543 0.3085 O
0.5422 0.0880 0.3085 O
0.5984 0.7919 0.6264 O
0.1934 0.4016 0.6264 O
0.4016 0.2081 0.1264 O
0.2081 0.8066 0.6264 O
0.8066 0.5984 0.1264 O
0.7919 0.1934 0.1264 O
0.8726 0.1231 0.7528 O
0.2505 0.1274 0.7528 O
0.1274 0.8769 0.2528 O
0.8769 0.7495 0.7528 O
0.7495 0.8726 0.2528 O
0.1231 0.2505 0.2528 O

---

6.
Rb7VSiO8 | the Materials Project | PBE with a Hubbard U | relaxed; calculated volume = 21.3 Å³ per atom; total DFT energy (no corrections) = -369.1 eV for the cell shown; formation energy from the elements = -2.27 eV/atom
1.0
10.5782 0.0000 0.0000
0.0000 6.5098 0.0000
0.0000 1.1935 21.0421
Rb V Si O
28 4 4 32
direct
0.5970 0.3938 0.8878 Rb
0.0949 0.6115 0.6176 Rb
0.9051 0.6115 0.1176 Rb
0.4030 0.3938 0.3878 Rb
0.5889 0.8863 0.8103 Rb
0.0765 0.1015 0.6971 Rb
0.9235 0.1015 0.1971 Rb
0.4111 0.8863 0.3103 Rb
0.9560 0.2820 0.8613 Rb
0.4614 0.7208 0.6296 Rb
0.5386 0.7208 0.1296 Rb
0.0440 0.2820 0.3613 Rb
0.8075 0.7853 0.9485 Rb
0.3170 0.2179 0.5449 Rb
0.6830 0.2179 0.0449 Rb
0.1925 0.7853 0.4485 Rb
0.1429 0.7143 0.9677 Rb
0.6341 0.2908 0.5268 Rb
0.3659 0.2908 0.0268 Rb
0.8571 0.7143 0.4677 Rb
0.3006 0.0789 0.8703 Rb
0.7915 0.9069 0.6334 Rb
0.2085 0.9069 0.1334 Rb
0.6994 0.0789 0.3703 Rb
0.2428 0.6226 0.7900 Rb
0.7557 0.3802 0.7170 Rb
0.2443 0.3802 0.2170 Rb
0.7572 0.6226 0.2900 Rb
0.9736 0.2218 0.5273 V
0.0264 0.2218 0.0273 V
0.4106 0.2178 0.7072 V
0.5894 0.2178 0.2072 V
0.4723 0.7784 0.9735 Si
0.5277 0.7784 0.4735 Si
0.9113 0.7825 0.7920 Si
0.0887 0.7825 0.2920 Si
0.3695 0.8147 0.0319 O
0.8671 0.1872 0.4657 O
0.1329 0.1872 0.9657 O
0.6305 0.8147 0.5319 O
0.9724 0.6783 0.7279 O
0.4732 0.3296 0.7736 O
0.5268 0.3296 0.2736 O
0.0276 0.6783 0.2279 O
0.7984 0.6274 0.8235 O
0.2924 0.3783 0.6737 O
0.7076 0.3783 0.1737 O
0.2016 0.6274 0.3235 O
0.0255 0.8196 0.8448 O
0.5308 0.1800 0.6520 O
0.4692 0.1800 0.1520 O
0.9745 0.8196 0.3448 O
0.8454 0.0096 0.7687 O
0.3417 0.9800 0.7306 O
0.6583 0.9800 0.2306 O
0.1546 0.0096 0.2687 O
0.5827 0.6121 0.0012 O
0.0897 0.3939 0.4990 O
0.9103 0.3939 0.9990 O
0.4173 0.6121 0.5012 O
0.3966 0.6833 0.9114 O
0.8935 0.3227 0.5917 O
0.1065 0.3227 0.0917 O
0.6034 0.6833 0.4114 O
0.5397 0.0020 0.9479 O
0.0440 0.9880 0.5541 O
0.9560 0.9880 0.0541 O
0.4603 0.0020 0.4479 O

---

- What is the calculated volume in the first record?
  15.7 Å³ per atom

---

- Among the records above, which one has the highest formation energy from the elements?
  RbVSeO5

---

- Which formula does entry 6 have?
  Rb7VSiO8

---

- Number 1 is which compound?
  RbSbWO6